[1]
Material: NaTaSi3Ge3S3O24
Method: DFT, PBE
State: relaxed

Summary:
Its calculated total energy is -0.2518 hartree per atom. The value obtained for the formation energy is -2339 meV/atom.

Cell: 8.5263 8.5910 22.2351 Å, 87.65 88.37 60.57°
With the nearest neighbours (Å) after each atom.
Fractional positions:
Na (0.0000, 0.0000, 0.0000)  6 O 2.34-2.59
Na (0.0144, 0.9846, 0.4999)  6 O 2.35-2.56
Na (0.6729, 0.6480, 0.1594)  4 O 2.31-2.58
Ta (0.3567, 0.3269, 0.6933)  4 O 1.83-1.98
Ta (0.6874, 0.6531, 0.8114)  6 O 1.92-2.03
Ta (0.6888, 0.6490, 0.3083)  5 O 1.87-2.03
Si (0.0309, 0.2614, 0.2481)  4 O 1.61-1.68
Si (0.2880, 0.7139, 0.2459)  4 O 1.61-1.66
Si (0.2895, 0.9869, 0.7533)  4 O 1.60-1.64
Si (0.3424, 0.6305, 0.5804)  4 O 1.61-1.66
Si (0.6297, 0.3255, 0.0822)  4 O 1.62-1.67
Si (0.6933, 0.9340, 0.9185)  4 O 1.62-1.65
Si (0.7531, 0.2636, 0.7477)  4 O 1.61-1.66
Si (0.9661, 0.6679, 0.4183)  4 O 1.63-1.66
Si (0.9859, 0.3679, 0.9215)  4 O 1.61-1.64
Ge (0.0100, 0.0172, 0.1451)  4 O 1.79-1.93
Ge (0.0313, 0.9697, 0.3485)  3 O 1.74-1.82
Ge (0.0421, 0.9843, 0.6499)  4 O 1.73-1.92
Ge (0.3258, 0.3637, 0.4800)  4 O 1.77-1.93
Ge (0.3343, 0.3558, 0.1897)  4 O 1.76-1.92
Ge (0.3767, 0.2982, 0.9729)  4 O 1.75-1.94
Ge (0.6737, 0.6782, 0.5221)  4 O 1.76-1.95
Ge (0.6974, 0.6333, 0.0164)  3 O 1.75-1.84
Ge (0.9893, 0.0335, 0.8608)  4 O 1.77-1.81
S (0.0154, 0.7126, 0.7488)  4 O 1.43-1.50
S (0.0552, 0.3297, 0.5804)  4 O 1.46-1.52
S (0.0559, 0.6206, 0.0839)  4 O 1.45-1.52
S (0.3494, 0.0376, 0.0839)  4 O 1.47-1.53
S (0.3890, 0.9585, 0.4189)  4 O 1.47-1.51
S (0.3904, 0.6593, 0.9208)  4 O 1.45-1.50
S (0.6285, 0.0442, 0.5796)  4 O 1.46-1.50
S (0.6800, 0.3665, 0.4208)  4 O 1.46-1.50
S (0.7261, 0.0031, 0.2493)  4 O 1.45-1.52
O (0.0058, 0.1693, 0.9159)  1 Si 1.64, 1 Ge 1.78
O (0.0308, 0.1693, 0.5844)  1 S 1.49
O (0.0389, 0.8003, 0.0902)  1 S 1.49
O (0.0496, 0.1482, 0.3115)  1 Si 1.64, 1 Ge 1.78
O (0.0518, 0.7808, 0.8013)  1 S 1.43
O (0.1277, 0.5087, 0.1415)  1 S 1.52
O (0.1404, 0.3499, 0.6331)  1 S 1.46
O (0.1593, 0.4844, 0.4249)  1 Si 1.63, 1 Ge 1.77
O (0.1602, 0.8277, 0.5888)  1 Si 1.66, 1 Ge 1.85
O (0.1660, 0.0173, 0.8121)  1 Si 1.60, 1 Ge 1.78
O (0.1672, 0.5391, 0.0313)  1 S 1.45
O (0.1722, 0.3661, 0.9340)  1 Si 1.61, 1 Ge 1.78
O (0.1718, 0.5284, 0.7399)  1 S 1.50
O (0.1754, 0.2900, 0.5249)  1 S 1.52
O (0.1780, 0.0224, 0.0860)  1 S 1.53
O (0.1776, 0.7797, 0.3094)  1 Si 1.63, 1 Ge 1.74
O (0.1987, 0.8444, 0.1875)  1 Si 1.62
O (0.2047, 0.9796, 0.4149)  1 S 1.50
O (0.2093, 0.2775, 0.2359)  1 Si 1.61, 1 Ge 1.80
O (0.2141, 0.8148, 0.9138)  1 S 1.45
O (0.2318, 0.9389, 0.6901)  1 Si 1.64, 1 Ge 1.73
O (0.2986, 0.1705, 0.7383)  1 Si 1.64
O (0.3003, 0.5457, 0.5219)  1 Si 1.65, 1 Ge 1.77
O (0.3178, 0.1488, 0.0279)  1 S 1.48
O (0.3179, 0.5151, 0.2406)  1 Si 1.61, 1 Ge 1.76
O (0.3687, 0.1192, 0.1378)  1 S 1.47
O (0.3729, 0.4988, 0.6381)  1 Si 1.61
O (0.3796, 0.4939, 0.9275)  1 S 1.47
O (0.3837, 0.1299, 0.4268)  1 S 1.47
O (0.4654, 0.8371, 0.4740)  1 S 1.51
O (0.4724, 0.6925, 0.9739)  1 S 1.50
O (0.4875, 0.6977, 0.2573)  1 Si 1.66
O (0.4905, 0.8221, 0.7627)  1 Si 1.61
O (0.4966, 0.8719, 0.3648)  1 S 1.48
O (0.5044, 0.6280, 0.8654)  1 S 1.49
O (0.5067, 0.8577, 0.0793)  1 S 1.47
O (0.5088, 0.3545, 0.1437)  1 Si 1.64, 1 Ge 1.78
O (0.5149, 0.3479, 0.4269)  1 S 1.49
O (0.5184, 0.1232, 0.6342)  1 S 1.48
O (0.5217, 0.1325, 0.9237)  1 Si 1.62, 1 Ge 1.75
O (0.5301, 0.6366, 0.5700)  1 Si 1.64, 1 Ge 1.76
O (0.5389, 0.2954, 0.0238)  1 Si 1.62, 1 Ge 1.80
O (0.5421, 0.1591, 0.5244)  1 S 1.50
O (0.5478, 0.1561, 0.2427)  1 S 1.45
O (0.5503, 0.2870, 0.7382)  1 Si 1.66, 1 Ta 1.83
O (0.6378, 0.8662, 0.5761)  1 S 1.50
O (0.6441, 0.4818, 0.3645)  1 S 1.50
O (0.6436, 0.5126, 0.0761)  1 Si 1.67, 1 Ge 1.84
O (0.6609, 0.8442, 0.8606)  1 Si 1.63
O (0.7058, 0.8379, 0.2581)  1 S 1.52
O (0.7089, 0.4516, 0.4726)  1 S 1.48
O (0.7162, 0.8128, 0.9805)  1 Si 1.65, 1 Ge 1.78
O (0.7279, 0.4595, 0.7573)  1 Si 1.61
O (0.8050, 0.0273, 0.3048)  1 S 1.49
O (0.8093, 0.0226, 0.5835)  1 S 1.46
O (0.8109, 0.1445, 0.8093)  1 Si 1.61, 1 Ge 1.77
O (0.8319, 0.1451, 0.0901)  1 Si 1.67, 1 Ge 1.84
O (0.8363, 0.7053, 0.4785)  1 Si 1.65, 1 Ge 1.77
O (0.8387, 0.1910, 0.4130)  1 S 1.46
O (0.8420, 0.9583, 0.1952)  1 S 1.47
O (0.8486, 0.4398, 0.9794)  1 Si 1.64, 1 Ge 1.75
O (0.8533, 0.6931, 0.7530)  1 S 1.47
O (0.8550, 0.4660, 0.2600)  1 Si 1.68, 1 Ta 1.87
O (0.8630, 0.1748, 0.6851)  1 Si 1.64, 1 Ge 1.79
O (0.8652, 0.6411, 0.3618)  1 Si 1.63
O (0.8725, 0.6374, 0.0812)  1 S 1.50
O (0.8796, 0.4935, 0.5725)  1 S 1.48
O (0.8811, 0.9434, 0.9112)  1 Si 1.65, 1 Ge 1.81
O (0.8896, 0.4870, 0.8611)  1 Si 1.63
O (0.9617, 0.2027, 0.1908)  1 Si 1.62, 1 Ge 1.79
O (0.9815, 0.8523, 0.4096)  1 Si 1.66, 1 Ge 1.82
O (0.9841, 0.8176, 0.6906)  1 S 1.50



[2]
Material: Na2MgCuO2
Method: DFT, PBE
State: relaxed

Summary:
Its calculated total energy is -0.1492 hartree per atom. The value obtained for the formation energy is -1248 meV/atom. The offset from the most stable computed form is 0.197 eV per atom.

Cell: 6.3401 6.3401 6.3401 Å, 151.62 137.76 51.67°
With the nearest neighbours (Å) after each atom.
Fractional positions:
Na (0.2306, 0.2306, 0.0000)  2 O 2.28
Na (0.7694, 0.7694, 0.0000)  2 O 2.28
Mg (0.5000, 0.5000, 0.0000)  4 O 2.10
Cu (0.0000, 0.0000, 0.0000)  2 Na 2.63, 4 O 2.68, 4 Mg 2.76
O (0.3764, 0.8764, 0.5000)  2 Mg 2.10, 2 Na 2.28
O (0.6236, 0.1236, 0.5000)  2 Mg 2.10, 2 Na 2.28



[3]
Material: NaNbZnP2SO12
Method: DFT, PBE
State: relaxed

Summary:
Its calculated total energy is -0.2512 hartree per atom. The value obtained for the formation energy is -2458 meV/atom.

Cell: 8.7543 8.7543 22.7130 Å, 89.91 90.09 119.81°
With the nearest neighbours (Å) after each atom.
Fractional positions:
O (0.4677, 0.3051, 0.0289)  1 P 1.61
O (0.4860, 0.1220, 0.6389)  1 P 1.49
O (0.8325, 0.0324, 0.0883)  1 S 1.54
O (0.0282, 0.1990, 0.1955)  1 P 1.61
O (0.3623, 0.4888, 0.3637)  1 S 1.52
O (0.4683, 0.1621, 0.5290)  1 P 1.60
O (0.3011, 0.4750, 0.7576)  1 P 1.60
O (0.1506, 0.6867, 0.4731)  1 P 1.49
O (0.1778, 0.9711, 0.1970)  1 S 1.52
O (0.8017, 0.8168, 0.9092)  1 S 1.45
O (0.6412, 0.1222, 0.1372)  1 S 1.44
O (0.1712, 0.1984, 0.6957)  1 P 1.60
O (0.1658, 0.6990, 0.7549)  1 S 1.54
O (0.8584, 0.3655, 0.9242)  1 P 1.60
O (0.8778, 0.3588, 0.6372)  1 S 1.44
O (0.4992, 0.3657, 0.4216)  1 S 1.54
O (0.6343, 0.5008, 0.9216)  1 S 1.54
O (0.8193, 0.7887, 0.3056)  1 P 1.49
O (0.8172, 0.0201, 0.8065)  1 P 1.49
O (0.1349, 0.4954, 0.8623)  1 P 1.60
O (0.5445, 0.6921, 0.9705)  1 S 1.44
O (0.0089, 0.1871, 0.9109)  1 P 1.51
O (0.6345, 0.1416, 0.4242)  1 P 1.60
O (0.3133, 0.8494, 0.9731)  1 P 1.49
O (0.8445, 0.3044, 0.5303)  1 S 1.52
O (0.6882, 0.1626, 0.7430)  1 P 1.51
O (0.3010, 0.8342, 0.2549)  1 S 1.54
O (0.3549, 0.4960, 0.0764)  1 P 1.51
O (0.5165, 0.8649, 0.0759)  1 S 1.45
O (0.1701, 0.4747, 0.2579)  1 P 1.60
O (0.1351, 0.4835, 0.5759)  1 S 1.45
O (0.2113, 0.1807, 0.8056)  1 P 1.49
O (0.1920, 0.1632, 0.0912)  1 P 1.60
O (0.5250, 0.6989, 0.2576)  1 P 1.60
O (0.9678, 0.8083, 0.0909)  1 P 1.60
O (0.8368, 0.8080, 0.5912)  1 P 1.60
O (0.6949, 0.5323, 0.5289)  1 P 1.61
O (0.5046, 0.8651, 0.3623)  1 P 1.60
O (0.1832, 0.1983, 0.4092)  1 S 1.45
O (0.8374, 0.3118, 0.2430)  1 P 1.51
O (0.8586, 0.4966, 0.4245)  1 P 1.60
O (0.1462, 0.6578, 0.0776)  1 P 1.51
O (0.5034, 0.1414, 0.9245)  1 P 1.60
O (0.1343, 0.6384, 0.3622)  1 P 1.61
O (0.8016, 0.8288, 0.1957)  1 P 1.60
O (0.5253, 0.8299, 0.7579)  1 P 1.60
O (0.6755, 0.5205, 0.2442)  1 P 1.51
O (0.9676, 0.1675, 0.5883)  1 S 1.54
O (0.1917, 0.0322, 0.5909)  1 P 1.60
O (0.5040, 0.6451, 0.5764)  1 P 1.51
O (0.3616, 0.8657, 0.8622)  1 P 1.61
O (0.3079, 0.4555, 0.4705)  1 S 1.44
O (0.3422, 0.8538, 0.5776)  1 P 1.51
O (0.8498, 0.5316, 0.7426)  1 S 1.45
O (0.9799, 0.1828, 0.3065)  1 P 1.49
O (0.1526, 0.4553, 0.9723)  1 P 1.49
O (0.5447, 0.8474, 0.4723)  1 P 1.49
O (0.5112, 0.6377, 0.8637)  1 S 1.52
O (0.8129, 0.9911, 0.4109)  1 P 1.51
O (0.6956, 0.1555, 0.0303)  1 S 1.52
O (0.0215, 0.8293, 0.4097)  1 P 1.51
O (0.6466, 0.5161, 0.6398)  1 P 1.49
O (0.4795, 0.3245, 0.7442)  1 P 1.51
O (0.0289, 0.8222, 0.6970)  1 S 1.52
O (0.9746, 0.7888, 0.8039)  1 S 1.44
O (0.2112, 0.0254, 0.3039)  1 S 1.44
O (0.8010, 0.9718, 0.6955)  1 P 1.61
O (0.8379, 0.5317, 0.0290)  1 P 1.60
O (0.8780, 0.5140, 0.1389)  1 P 1.49
O (0.4684, 0.1502, 0.2426)  1 S 1.45
O (0.4839, 0.3534, 0.1398)  1 P 1.49
O (0.1707, 0.9785, 0.9097)  1 P 1.51
Nb (0.9974, 0.0016, 0.1456)  6 O 1.97-2.08
Nb (0.6651, 0.3359, 0.9789)  6 O 1.97-2.08
Nb (0.3318, 0.6692, 0.3123)  6 O 1.97-2.08
Nb (0.9984, 0.0026, 0.6456)  6 O 1.97-2.08
Nb (0.3308, 0.6682, 0.8123)  6 O 1.97-2.08
Nb (0.6641, 0.3349, 0.4789)  6 O 1.97-2.08
Na (0.0101, 0.0063, 0.9927)  4 O 2.44-2.69
Na (0.6603, 0.3233, 0.8261)  4 O 2.44-2.69
Na (0.6767, 0.3397, 0.3261)  4 O 2.44-2.69
Na (0.3434, 0.6730, 0.6594)  4 O 2.44-2.69
Na (0.3270, 0.6566, 0.1594)  4 O 2.44-2.69
Na (0.9937, 0.9899, 0.4927)  4 O 2.44-2.69
P (0.7132, 0.0060, 0.7525)  4 O 1.49-1.61
P (0.6607, 0.6202, 0.5858)  4 O 1.49-1.61
P (0.0465, 0.6727, 0.4192)  4 O 1.49-1.61
P (0.3774, 0.0396, 0.5854)  4 O 1.49-1.60
P (0.9940, 0.2868, 0.2525)  4 O 1.49-1.61
P (0.3798, 0.3393, 0.0858)  4 O 1.49-1.61
P (0.7108, 0.7063, 0.2520)  4 O 1.49-1.60
P (0.0441, 0.3730, 0.9187)  4 O 1.49-1.60
P (0.9604, 0.6226, 0.0854)  4 O 1.49-1.60
P (0.3273, 0.9535, 0.9192)  4 O 1.49-1.61
P (0.2937, 0.2892, 0.7520)  4 O 1.49-1.60
P (0.6270, 0.9559, 0.4187)  4 O 1.49-1.60
S (0.6620, 0.0420, 0.0846)  4 O 1.44-1.54
S (0.2913, 0.0047, 0.2513)  4 O 1.44-1.54
S (0.3286, 0.3753, 0.4179)  4 O 1.44-1.54
S (0.6247, 0.6714, 0.9179)  4 O 1.44-1.54
S (0.9580, 0.3380, 0.5846)  4 O 1.44-1.54
S (0.9953, 0.7087, 0.7513)  4 O 1.44-1.54
Zn (0.3166, 0.6574, 0.0183)  5 O 1.94-2.16
Zn (0.6759, 0.3501, 0.1849)  5 O 1.94-2.16
Zn (0.9832, 0.9907, 0.3516)  5 O 1.94-2.16
Zn (0.3426, 0.6834, 0.5183)  5 O 1.94-2.16
Zn (0.6499, 0.3241, 0.6849)  5 O 1.94-2.16
Zn (0.0093, 0.0168, 0.8516)  5 O 1.94-2.16



- Number 3 is which compound?
  NaNbZnP2SO12



- Which of these has the lowest calculated total energy?
  NaTaSi3Ge3S3O24



- Which formula does entry 1 have?
  NaTaSi3Ge3S3O24



- Number 3 is which compound?
  NaNbZnP2SO12